Record 1
Below is an optimized crystal structure of NaB6H8S3O7, with properties calculated at the GGA-PBE level.

Cell and atoms, written as POSCAR:
```
NaB6H8S3O7
1.0
8.652 0.000 0.000
-0.689 9.014 0.000
-2.350 -0.989 8.742
O B H S Na
14 12 16 6 2
Direct
0.604 0.810 0.561
0.318 0.858 0.499
0.935 0.705 0.717
0.932 0.850 0.400
0.396 0.190 0.439
0.918 0.434 0.643
0.082 0.566 0.357
0.798 0.016 0.859
0.178 0.972 0.863
0.822 0.028 0.137
0.068 0.150 0.600
0.682 0.142 0.501
0.202 0.984 0.141
0.065 0.295 0.283
0.322 0.396 0.981
0.462 0.340 0.878
0.642 0.501 0.168
0.659 0.404 0.994
0.341 0.596 0.006
0.434 0.496 0.159
0.538 0.660 0.122
0.566 0.504 0.841
0.678 0.604 0.019
0.508 0.339 0.081
0.358 0.499 0.832
0.492 0.661 0.919
0.834 0.827 0.317
0.803 0.677 0.032
0.258 0.499 0.713
0.227 0.664 0.009
0.981 0.756 0.407
0.773 0.336 0.991
0.612 0.507 0.726
0.565 0.773 0.209
0.435 0.227 0.791
0.197 0.323 0.968
0.019 0.244 0.593
0.388 0.493 0.274
0.166 0.173 0.683
0.742 0.501 0.287
0.484 0.777 0.862
0.516 0.223 0.138
0.936 0.555 0.764
0.563 0.247 0.465
0.277 0.962 0.016
0.723 0.038 0.984
0.437 0.753 0.535
0.064 0.445 0.236
0.116 0.054 0.362
0.884 0.946 0.638
```

Values from the calculation:
As for the energy: -5.31 eV/atom. The calculation puts the energy relative to the elements at -0.878 eV per atom. The space-group type is P-1, No. 2.

=====

Record 2
Below is an optimized crystal structure of ZrSn, with properties calculated at the GGA-PBE level.

Cell and atoms, written as POSCAR:
```
ZrSn
1.0
-1.597 4.655 -1.952
-3.034 0.800 4.389
5.033 2.959 2.939
Zr Sn
4 4
Direct
0.000 0.533 0.241
0.000 0.037 0.500
0.000 0.533 0.759
0.500 0.629 0.500
0.000 0.033 0.000
0.500 0.136 0.737
0.500 0.629 0.000
0.500 0.136 0.263
```

Values from the calculation:
As for the energy: -6.53 eV/atom. The calculation puts the energy relative to the elements at -0.249 eV per atom. The space-group type is Pmm2, No. 25.

=====

Record 3
Below is an optimized crystal structure of CdH2O2, with properties calculated at the GGA-PBE level.

Cell and atoms, written as POSCAR:
```
CdH2O2
1.0
1.920 -3.325 0.000
1.920 3.325 0.000
0.000 0.000 4.441
H O Cd
2 2 1
Direct
0.667 0.333 0.432
0.000 0.000 0.008
0.000 0.000 0.786
0.667 0.333 0.212
0.333 0.667 0.987
```

Values from the calculation:
As for the energy: -4.38 eV/atom. The calculation puts the energy relative to the elements at -1.135 eV per atom. The space-group type is P3m1, No. 156. Its excess energy over the best structure of this formula in the dataset is 0.190 eV per atom.

=====

Record 4
Below is an optimized crystal structure of HgPtO2, with properties calculated at the GGA-PBE level.

Cell and atoms, written as POSCAR:
```
HgPtO2
1.0
-1.330 0.936 -2.761
-0.243 -2.044 -2.456
-6.906 -2.266 2.480
O Pt Hg
2 1 1
Direct
0.668 0.668 0.877
0.332 0.332 0.123
0.000 0.000 0.000
0.500 0.500 0.500
```

Values from the calculation:
As for the energy: -4.40 eV/atom. The calculation puts the energy relative to the elements at -0.676 eV per atom. The space-group type is C2/m, No. 12.

=====

Record 5
Below is an optimized crystal structure of BaMg6CdO8, with properties calculated at the GGA-PBE level.

Cell and atoms, written as POSCAR:
```
BaMg6CdO8
1.0
9.016 0.000 0.000
0.000 4.709 0.000
0.000 0.000 4.709
Mg O Cd Ba
6 8 1 1
Direct
0.500 0.500 0.500
0.727 0.000 0.500
0.273 0.000 0.500
0.727 0.500 0.000
0.273 0.500 0.000
0.500 0.000 0.000
0.270 0.500 0.500
0.000 0.500 0.000
0.730 0.500 0.500
0.500 0.000 0.500
0.284 0.000 0.000
0.000 0.000 0.500
0.716 0.000 0.000
0.500 0.500 0.000
0.000 0.500 0.500
0.000 0.000 0.000
```

Values from the calculation:
As for the energy: -5.39 eV/atom. The calculation puts the energy relative to the elements at -2.478 eV per atom. The space-group type is P4/mmm, No. 123. Its excess energy over the best structure of this formula in the dataset is 0.000 eV per atom.

=====

Record 6
Below is an optimized crystal structure of Na5In2Ga2P5SO24, with properties calculated at the GGA-PBE level.

Cell and atoms, written as POSCAR:
```
Na5In2Ga2P5SO24
1.0
8.882 0.008 0.018
-4.434 7.677 -0.031
0.046 -0.066 22.411
P O In Ga Na S
15 72 6 6 15 3
Direct
0.667 0.034 0.088
0.371 0.334 0.087
0.631 0.967 0.413
0.035 0.669 0.414
0.300 0.299 0.750
0.377 0.045 0.580
0.962 0.334 0.581
0.041 0.374 0.921
0.998 0.702 0.751
0.704 0.703 0.251
0.963 0.635 0.084
0.702 0.999 0.748
0.663 0.623 0.578
0.002 0.294 0.250
0.335 0.961 0.920
0.491 0.364 0.141
0.160 0.963 0.919
0.533 0.644 0.864
0.130 0.637 0.362
0.438 0.288 0.030
0.688 0.534 0.522
0.812 0.780 0.309
0.346 0.496 0.080
0.356 0.886 0.860
0.492 0.354 0.418
0.221 0.186 0.806
0.830 0.016 0.095
0.474 0.112 0.640
0.133 0.701 0.474
0.165 0.477 0.258
0.777 0.975 0.689
0.473 0.161 0.527
0.513 0.873 0.358
0.467 0.155 0.246
0.993 0.821 0.096
0.802 0.824 0.919
0.650 0.512 0.924
0.313 0.479 0.755
0.536 0.685 0.973
0.686 0.521 0.242
0.646 0.148 0.420
0.177 0.189 0.404
0.154 0.468 0.976
0.365 0.486 0.363
0.117 0.475 0.862
0.013 0.832 0.405
0.164 0.685 0.753
0.493 0.145 0.923
0.478 0.312 0.746
0.191 0.018 0.582
0.185 0.170 0.095
0.032 0.215 0.192
0.847 0.506 0.419
0.966 0.168 0.303
0.142 0.500 0.576
0.841 0.307 0.528
0.148 0.651 0.079
0.684 0.164 0.747
0.876 0.504 0.136
0.840 0.516 0.749
0.831 0.305 0.243
0.026 0.810 0.694
0.814 0.983 0.406
0.971 0.165 0.583
0.185 0.221 0.695
0.358 0.860 0.576
0.522 0.692 0.257
0.862 0.568 0.026
0.562 0.853 0.470
0.862 0.367 0.924
0.019 0.191 0.920
0.315 0.845 0.975
0.204 0.023 0.303
0.892 0.365 0.641
0.295 0.432 0.469
0.833 0.806 0.581
0.312 0.843 0.255
0.715 0.152 0.033
0.498 0.855 0.079
0.977 0.785 0.809
0.628 0.120 0.143
0.639 0.526 0.636
0.791 0.829 0.198
0.188 0.975 0.195
0.818 0.030 0.803
0.508 0.655 0.574
0.517 0.840 0.753
0.004 0.004 0.647
0.663 0.325 0.987
0.666 0.341 0.682
0.338 0.668 0.818
0.330 0.666 0.512
0.005 0.011 0.853
0.677 0.352 0.183
0.986 0.992 0.347
0.675 0.326 0.481
0.323 0.658 0.316
0.989 0.998 0.152
0.332 0.666 0.021
0.018 0.017 0.496
0.701 0.670 0.417
0.665 0.966 0.583
0.998 0.361 0.750
0.344 0.653 0.666
0.363 0.000 0.751
0.336 0.651 0.169
0.997 0.007 0.002
0.656 0.326 0.834
0.303 0.974 0.084
0.679 0.338 0.333
0.638 0.001 0.250
0.033 0.700 0.581
0.029 0.333 0.085
0.972 0.665 0.917
0.329 0.363 0.413
0.626 0.666 0.920
0.290 0.000 0.250
```

Values from the calculation:
As for the energy: -6.33 eV/atom. The calculation puts the energy relative to the elements at -2.446 eV per atom. The space-group type is P1, No. 1.

=====

Record 7
Below is an optimized crystal structure of Li2MgIr, with properties calculated at the GGA-PBE level.

Cell and atoms, written as POSCAR:
```
Li2MgIr
1.0
-3.627 -1.931 4.663
-0.071 -5.722 -2.425
5.046 -1.468 3.317
Li Mg Ir
8 4 4
Direct
0.500 0.500 0.500
0.729 0.271 0.729
0.500 0.500 0.000
0.271 0.729 0.729
0.000 0.500 0.500
0.500 0.000 0.500
0.729 0.729 0.271
0.271 0.271 0.271
0.000 0.000 0.000
0.500 0.000 0.000
0.000 0.500 0.000
0.000 0.000 0.500
0.253 0.747 0.253
0.747 0.253 0.253
0.747 0.747 0.747
0.253 0.253 0.747
```

Values from the calculation:
As for the energy: -3.73 eV/atom. The calculation puts the energy relative to the elements at -0.170 eV per atom. The space-group type is P-43m, No. 215.

=====

Record 8
Below is an optimized crystal structure of SmGa2Co3, with properties calculated at the GGA-PBE level.

Cell and atoms, written as POSCAR:
```
SmGa2Co3
1.0
-1.699 -0.652 -3.393
7.494 2.767 -4.285
-1.012 -8.727 2.185
Ga Co Sm
6 9 3
Direct
0.500 0.314 0.314
0.500 0.000 0.686
0.500 0.685 0.000
0.500 0.686 0.686
0.500 0.000 0.314
0.500 0.315 0.000
0.000 0.183 0.367
0.000 0.633 0.816
0.000 0.000 0.500
0.000 0.183 0.816
0.000 0.367 0.184
0.000 0.500 0.500
0.000 0.500 0.000
0.000 0.817 0.633
0.000 0.817 0.184
0.500 0.334 0.667
0.500 0.666 0.333
0.000 0.000 0.000
```

Values from the calculation:
As for the energy: -5.70 eV/atom. The calculation puts the energy relative to the elements at -0.352 eV per atom. The space-group type is Cmmm, No. 65.

=====

Record 9
Below is an optimized crystal structure of Zr5AlSn3, with properties calculated at the GGA-PBE level.

Cell and atoms, written as POSCAR:
```
Zr5AlSn3
1.0
0.132 7.714 4.116
-1.806 -7.304 4.457
5.758 -0.717 1.159
Sn Zr Al
6 10 2
Direct
0.614 0.000 0.250
0.000 0.386 0.750
0.386 0.386 0.250
0.000 0.614 0.250
0.614 0.614 0.750
0.386 0.000 0.750
0.000 0.730 0.750
0.333 0.667 0.500
0.667 0.333 0.000
0.000 0.270 0.250
0.730 0.000 0.750
0.333 0.667 0.000
0.667 0.333 0.500
0.730 0.730 0.250
0.270 0.000 0.250
0.270 0.270 0.750
0.000 0.000 0.500
0.000 0.000 0.000
```

Values from the calculation:
As for the energy: -7.10 eV/atom. The calculation puts the energy relative to the elements at -0.601 eV per atom. The space-group type is P6_3/mcm, No. 193.

=====

Record 10
Below is an optimized crystal structure of TlHg6Se4Br5, with properties calculated at the GGA-PBE level.

Cell and atoms, written as POSCAR:
```
TlHg6Se4Br5
1.0
1.244 -11.347 -1.322
-7.391 6.493 5.937
-3.393 2.689 -10.644
Se Hg Br Tl
8 12 10 2
Direct
0.593 0.927 0.074
0.853 0.519 0.926
0.519 0.593 0.666
0.073 0.147 0.666
0.927 0.853 0.334
0.407 0.073 0.926
0.147 0.481 0.074
0.481 0.407 0.334
0.864 0.239 0.103
0.239 0.136 0.376
0.223 0.086 0.784
0.439 0.223 0.137
0.914 0.698 0.137
0.761 0.864 0.624
0.086 0.302 0.863
0.777 0.914 0.216
0.698 0.561 0.784
0.302 0.439 0.216
0.561 0.777 0.863
0.136 0.761 0.897
0.688 0.067 0.754
0.430 0.168 0.599
0.933 0.688 0.621
0.168 0.570 0.738
0.832 0.430 0.262
0.312 0.933 0.246
0.570 0.832 0.401
0.500 0.500 0.000
0.000 0.000 0.000
0.067 0.312 0.379
0.750 0.250 0.500
0.250 0.750 0.500
```

Values from the calculation:
As for the energy: -2.06 eV/atom. The calculation puts the energy relative to the elements at -0.581 eV per atom. The space-group type is I4/m, No. 87.

=====

Record 11
Below is an optimized crystal structure of KYMg14, with properties calculated at the GGA-PBE level.

Cell and atoms, written as POSCAR:
```
KYMg14
1.0
-6.251 -1.589 -1.754
1.626 0.529 6.461
-2.527 10.159 -0.196
Mg Y K
14 1 1
Direct
0.171 0.836 0.625
0.663 0.837 0.125
0.824 0.162 0.370
0.338 0.676 0.370
0.338 0.162 0.880
0.663 0.327 0.125
0.664 0.836 0.625
0.833 0.667 0.375
0.833 0.667 0.875
0.338 0.676 0.880
0.173 0.837 0.125
0.338 0.162 0.370
0.664 0.329 0.625
0.824 0.162 0.880
0.167 0.333 0.125
0.167 0.333 0.625
```

Values from the calculation:
As for the energy: -1.79 eV/atom. The calculation puts the energy relative to the elements at 0.083 eV per atom. The space-group type is P-6m2, No. 187. Its excess energy over the best structure of this formula in the dataset is 0.000 eV per atom.

=====

Record 12
Below is an optimized crystal structure of InPd2, with properties calculated at the GGA-PBE level.

Cell and atoms, written as POSCAR:
```
InPd2
1.0
-2.830 -2.428 2.092
1.959 -4.632 -2.726
5.592 -1.241 6.126
Pd In
8 4
Direct
0.750 0.659 0.428
0.750 0.159 0.072
0.750 0.567 0.769
0.750 0.067 0.731
0.250 0.933 0.269
0.250 0.433 0.231
0.250 0.341 0.572
0.250 0.841 0.928
0.750 0.678 0.100
0.250 0.822 0.600
0.250 0.322 0.900
0.750 0.178 0.400
```

Values from the calculation:
As for the energy: -4.89 eV/atom. The calculation puts the energy relative to the elements at -0.516 eV per atom. The space-group type is Pnma, No. 62.

=====

Question: Which of these has the lowest energy?
Answer: Zr5AlSn3

=====

Question: Look up the energy of the eleventh one.
Answer: -1.79 eV/atom

=====

Question: The highest energy belongs to which entry?
Answer: KYMg14